(1)
A plane-wave DFT calculation with PBE was carried out for PrVSb3 after structural relaxation.

```
data_PrVSb3
_chemical_formula_sum 'Pr4 V4 Sb12'
_space_group_name_H-M_alt 'P 1'
_space_group_IT_number 1
_space_group_name_Hall 'P 1'
_cell_length_a 6.093
_cell_length_b 6.292
_cell_length_c 13.302
_cell_angle_alpha 90.00
_cell_angle_beta 90.00
_cell_angle_gamma 90.00
loop_
_atom_site_label
_atom_site_type_symbol
_atom_site_fract_x
_atom_site_fract_y
_atom_site_fract_z
Sb1 Sb 0.250 0.605 0.064
Sb2 Sb 0.750 0.895 0.064
Sb3 Sb 0.250 0.498 0.782
Sb4 Sb 0.000 0.250 0.499
Sb5 Sb 0.500 0.750 0.501
Sb6 Sb 0.000 0.750 0.501
Sb7 Sb 0.750 0.502 0.218
Sb8 Sb 0.250 0.998 0.218
Sb9 Sb 0.250 0.105 0.936
Sb10 Sb 0.750 0.002 0.782
Sb11 Sb 0.750 0.395 0.936
Sb12 Sb 0.500 0.250 0.499
Pr1 Pr 0.750 0.997 0.309
Pr2 Pr 0.250 0.503 0.309
Pr3 Pr 0.250 0.003 0.691
Pr4 Pr 0.750 0.497 0.691
V1 V 0.500 0.250 0.094
V2 V 0.000 0.250 0.094
V3 V 0.000 0.750 0.906
V4 V 0.500 0.750 0.906
```

Results
ΔE to the lowest computed polymorph, eV/atom: 0.000
Final energy, eV per atom: -5.786
Symmetry: Pbcm (57)
Energy of formation from the pure elements, meV/atom: -650.7



(2)
A plane-wave DFT calculation with PBE was carried out for Na3Ga after structural relaxation.

```
data_Na3Ga
_chemical_formula_sum 'Na6 Ga2'
_space_group_name_H-M_alt 'P 1'
_space_group_IT_number 1
_space_group_name_Hall 'P 1'
_cell_length_a 6.868
_cell_length_b 6.868
_cell_length_c 5.674
_cell_angle_alpha 90.00
_cell_angle_beta 90.00
_cell_angle_gamma 120.00
loop_
_atom_site_label
_atom_site_type_symbol
_atom_site_fract_x
_atom_site_fract_y
_atom_site_fract_z
Ga1 Ga 0.667 0.333 0.250
Ga2 Ga 0.333 0.667 0.750
Na1 Na 0.826 0.652 0.750
Na2 Na 0.174 0.348 0.250
Na3 Na 0.174 0.826 0.250
Na4 Na 0.826 0.174 0.750
Na5 Na 0.348 0.174 0.750
Na6 Na 0.652 0.826 0.250
```

Results
Final energy, eV per atom: -1.716
Symmetry: P6_3/mmc (194)
Size of the total moment, μB/f.u.: 0.0
Energy of formation from the pure elements, meV/atom: 32.6



(3)
A plane-wave DFT calculation with PBE was carried out for Sm2O3 after structural relaxation.

```
data_Sm2O3
_chemical_formula_sum 'Sm4 O6'
_space_group_name_H-M_alt 'P 1'
_space_group_IT_number 1
_space_group_name_Hall 'P 1'
_cell_length_a 5.457
_cell_length_b 5.457
_cell_length_c 5.457
_cell_angle_alpha 90.00
_cell_angle_beta 90.00
_cell_angle_gamma 90.00
loop_
_atom_site_label
_atom_site_type_symbol
_atom_site_fract_x
_atom_site_fract_y
_atom_site_fract_z
Sm1 Sm 0.250 0.250 0.250
Sm2 Sm 0.250 0.750 0.750
Sm3 Sm 0.750 0.750 0.250
Sm4 Sm 0.750 0.250 0.750
O1 O 0.000 0.500 0.000
O2 O 0.000 0.500 0.500
O3 O 0.000 0.000 0.500
O4 O 0.500 0.000 0.500
O5 O 0.500 0.000 0.000
O6 O 0.500 0.500 0.000
```

Results
Final energy, eV per atom: -7.857
Symmetry: Pn-3m (224)
Size of the total moment, μB/f.u.: 0.0
Energy of formation from the pure elements, meV/atom: -3412.7



(4)
A plane-wave DFT calculation with PBE was carried out for Cu2H4CO5 after structural relaxation.

```
data_Cu2H4CO5
_chemical_formula_sum 'Cu4 H8 C2 O10'
_space_group_name_H-M_alt 'P 1'
_space_group_IT_number 1
_space_group_name_Hall 'P 1'
_cell_length_a 5.759
_cell_length_b 6.132
_cell_length_c 7.031
_cell_angle_alpha 90.00
_cell_angle_beta 110.64
_cell_angle_gamma 90.00
loop_
_atom_site_label
_atom_site_type_symbol
_atom_site_fract_x
_atom_site_fract_y
_atom_site_fract_z
H1 H 0.576 0.276 0.419
H2 H 0.837 0.564 0.266
H3 H 0.163 0.064 0.734
H4 H 0.880 0.776 0.713
H5 H 0.802 0.043 0.267
H6 H 0.198 0.543 0.733
H7 H 0.424 0.776 0.581
H8 H 0.120 0.276 0.287
O1 O 0.271 0.532 0.886
O2 O 0.267 0.039 0.881
O3 O 0.914 0.126 0.516
O4 O 0.086 0.626 0.484
O5 O 0.158 0.280 0.162
O6 O 0.740 0.285 0.725
O7 O 0.260 0.785 0.275
O8 O 0.842 0.780 0.838
O9 O 0.729 0.032 0.114
O10 O 0.733 0.539 0.119
C1 C 0.741 0.231 0.553
C2 C 0.259 0.731 0.447
Cu1 Cu 0.000 0.031 0.000
Cu2 Cu 0.000 0.531 0.000
Cu3 Cu 0.503 0.285 0.003
Cu4 Cu 0.497 0.785 0.997
```

Results
Final energy, eV per atom: -5.439
Symmetry: P2_1 (4)
Size of the total moment, μB/f.u.: 0.0
Energy of formation from the pure elements, meV/atom: -1080.6



(5)
A plane-wave DFT calculation with PBE was carried out for K2CdSnSe4 after structural relaxation.

```
data_K2CdSnSe4
_chemical_formula_sum 'K2 Cd1 Sn1 Se4'
_space_group_name_H-M_alt 'P 1'
_space_group_IT_number 1
_space_group_name_Hall 'P 1'
_cell_length_a 6.842
_cell_length_b 6.842
_cell_length_c 6.842
_cell_angle_alpha 105.53
_cell_angle_beta 105.53
_cell_angle_gamma 117.69
loop_
_atom_site_label
_atom_site_type_symbol
_atom_site_fract_x
_atom_site_fract_y
_atom_site_fract_z
Se1 Se 0.597 0.935 0.000
Se2 Se 0.403 0.403 0.338
Se3 Se 0.065 0.065 0.662
Se4 Se 0.935 0.597 0.000
K1 K 0.500 0.000 0.500
K2 K 0.000 0.500 0.500
Sn1 Sn 0.000 0.000 0.000
Cd1 Cd 0.500 0.500 0.000
```

Results
Final energy, eV per atom: -3.469
Symmetry: I-42m (121)
Size of the total moment, μB/f.u.: 0.0
Energy of formation from the pure elements, meV/atom: -1062.8
Piezoelectric modulus e_max, C/m²: 0.14



(6)
A plane-wave DFT calculation with PBE was carried out for HoMgSe3 after structural relaxation.

```
data_HoMgSe3
_chemical_formula_sum 'Ho6 Mg6 Se18'
_space_group_name_H-M_alt 'P 1'
_space_group_IT_number 1
_space_group_name_Hall 'P 1'
_cell_length_a 6.890
_cell_length_b 6.890
_cell_length_c 19.278
_cell_angle_alpha 90.00
_cell_angle_beta 90.00
_cell_angle_gamma 120.00
loop_
_atom_site_label
_atom_site_type_symbol
_atom_site_fract_x
_atom_site_fract_y
_atom_site_fract_z
Se1 Se 0.359 0.010 0.582
Se2 Se 0.974 0.657 0.084
Se3 Se 0.677 0.984 0.751
Se4 Se 0.343 0.317 0.084
Se5 Se 0.990 0.349 0.582
Se6 Se 0.693 0.677 0.249
Se7 Se 0.657 0.683 0.916
Se8 Se 0.349 0.359 0.418
Se9 Se 0.317 0.974 0.916
Se10 Se 0.016 0.693 0.751
Se11 Se 0.026 0.343 0.916
Se12 Se 0.984 0.307 0.249
Se13 Se 0.323 0.016 0.249
Se14 Se 0.641 0.990 0.418
Se15 Se 0.651 0.641 0.582
Se16 Se 0.010 0.651 0.418
Se17 Se 0.307 0.323 0.751
Se18 Se 0.683 0.026 0.084
Mg1 Mg 0.333 0.667 0.507
Mg2 Mg 0.000 0.000 0.160
Mg3 Mg 0.667 0.333 0.174
Mg4 Mg 0.000 0.000 0.840
Mg5 Mg 0.667 0.333 0.493
Mg6 Mg 0.333 0.667 0.826
Ho1 Ho 0.333 0.667 0.011
Ho2 Ho 0.000 0.000 0.655
Ho3 Ho 0.000 0.000 0.345
Ho4 Ho 0.667 0.333 0.678
Ho5 Ho 0.333 0.667 0.322
Ho6 Ho 0.667 0.333 0.989
```

Results
ΔE to the lowest computed polymorph, eV/atom: 0.000
Final energy, eV per atom: -4.560
Size of the total moment, μB/f.u.: 0.2
Energy of formation from the pure elements, meV/atom: -1509.2



(7)
A plane-wave DFT calculation with PBE was carried out for NdZn2Si2 after structural relaxation.

```
data_NdZn2Si2
_chemical_formula_sum 'Nd1 Zn2 Si2'
_space_group_name_H-M_alt 'P 1'
_space_group_IT_number 1
_space_group_name_Hall 'P 1'
_cell_length_a 6.183
_cell_length_b 6.183
_cell_length_c 6.183
_cell_angle_alpha 141.28
_cell_angle_beta 141.28
_cell_angle_gamma 55.92
loop_
_atom_site_label
_atom_site_type_symbol
_atom_site_fract_x
_atom_site_fract_y
_atom_site_fract_z
Zn1 Zn 0.250 0.750 0.500
Zn2 Zn 0.750 0.250 0.500
Si1 Si 0.390 0.390 0.000
Si2 Si 0.610 0.610 0.000
Nd1 Nd 0.000 0.000 0.000
```

Results
Final energy, eV per atom: -4.021
Symmetry: I4/mmm (139)
Energy of formation from the pure elements, meV/atom: -364.5



(8)
A plane-wave DFT calculation with PBE was carried out for YTi3O6 after structural relaxation.

```
data_YTi3O6
_chemical_formula_sum 'Y4 Ti12 O24'
_space_group_name_H-M_alt 'P 1'
_space_group_IT_number 1
_space_group_name_Hall 'P 1'
_cell_length_a 6.047
_cell_length_b 6.565
_cell_length_c 15.068
_cell_angle_alpha 97.18
_cell_angle_beta 92.66
_cell_angle_gamma 117.06
loop_
_atom_site_label
_atom_site_type_symbol
_atom_site_fract_x
_atom_site_fract_y
_atom_site_fract_z
O1 O 0.451 0.706 0.933
O2 O 0.549 0.294 0.067
O3 O 0.553 0.988 0.658
O4 O 0.687 0.164 0.905
O5 O 0.867 0.401 0.269
O6 O 0.826 0.734 0.204
O7 O 0.680 0.511 0.429
O8 O 0.723 0.205 0.529
O9 O 0.138 0.339 0.003
O10 O 0.115 0.055 0.600
O11 O 0.320 0.489 0.571
O12 O 0.673 0.395 0.777
O13 O 0.852 0.624 0.605
O14 O 0.313 0.836 0.095
O15 O 0.885 0.945 0.400
O16 O 0.277 0.795 0.471
O17 O 0.201 0.950 0.910
O18 O 0.133 0.599 0.731
O19 O 0.174 0.266 0.796
O20 O 0.148 0.376 0.395
O21 O 0.327 0.605 0.223
O22 O 0.862 0.661 0.997
O23 O 0.799 0.050 0.090
O24 O 0.447 0.012 0.342
Ti1 Ti 0.500 0.000 0.000
Ti2 Ti 0.000 0.000 0.000
Ti3 Ti 0.209 0.843 0.659
Ti4 Ti 0.792 0.655 0.324
Ti5 Ti 0.768 0.340 0.659
Ti6 Ti 0.500 0.500 0.000
Ti7 Ti 0.585 0.827 0.168
Ti8 Ti 0.415 0.173 0.832
Ti9 Ti 0.000 0.500 0.500
Ti10 Ti 0.232 0.660 0.341
Ti11 Ti 0.208 0.345 0.676
Ti12 Ti 0.791 0.157 0.341
Y1 Y 0.670 0.825 0.537
Y2 Y 0.030 0.499 0.877
Y3 Y 0.970 0.501 0.123
Y4 Y 0.330 0.175 0.463
```

Results
Final energy, eV per atom: -8.817
Symmetry: P-1 (2)
Size of the total moment, μB/f.u.: 0.5
Energy of formation from the pure elements, meV/atom: -3245.0